Density functional theory data (PBE+U) for Sr10Mg5MoW4O30 after structural relaxation.

Unit cell a=5.6608 b=5.6720 c=23.3579 alpha=89.77 beta=96.87 gamma=119.72
With the nearest neighbours (Å) after each atom.
Element x y z (fractional)
O 0.2403 0.8910 0.0444  1 Mo 1.95, 1 Mg 2.09
O 0.3383 0.6405 0.4555  1 W 1.95, 1 Mg 2.08
O 0.1382 0.0404 0.6556  1 W 1.95, 1 Mg 2.08
O 0.4140 0.4515 0.3547  1 W 1.96, 1 Mg 2.08
O 0.8411 0.6910 0.4445  1 W 1.95, 1 Mg 2.08
O 0.6139 0.0514 0.1546  1 W 1.96, 1 Mg 2.08
O 0.8618 0.9596 0.3444  1 W 1.95, 1 Mg 2.08
O 0.7385 0.8408 0.0553  1 Mo 1.95, 1 Mg 2.09
O 0.6411 0.0910 0.6445  1 W 1.95, 1 Mg 2.08
O 0.5385 0.2406 0.2555  1 W 1.95, 1 Mg 2.08
O 0.8144 0.6525 0.9548  1 Mo 1.95, 1 Mg 2.09
O 0.9859 0.7482 0.2452  1 W 1.95, 1 Mg 2.08
O 0.5860 0.5485 0.6453  1 W 1.96, 1 Mg 2.08
O 0.0617 0.5595 0.1443  1 W 1.96, 1 Mg 2.08
O 0.9590 0.7089 0.7556  1 W 1.95, 1 Mg 2.08
O 0.0410 0.2911 0.2444  1 W 1.95, 1 Mg 2.08
O 0.2141 0.8517 0.5547  1 W 1.95, 1 Mg 2.08
O 0.3589 0.9090 0.3555  1 W 1.95, 1 Mg 2.08
O 0.1589 0.3090 0.5555  1 W 1.95, 1 Mg 2.08
O 0.9383 0.4405 0.8557  1 W 1.96, 1 Mg 2.08
O 0.3861 0.9486 0.8454  1 W 1.96, 1 Mg 2.08
O 0.4615 0.7594 0.7445  1 W 1.95, 1 Mg 2.08
O 0.6617 0.3595 0.5445  1 W 1.95, 1 Mg 2.08
O 0.1856 0.3475 0.0452  1 Mo 1.95, 1 Mg 2.09
O 0.0141 0.2518 0.7548  1 W 1.95, 1 Mg 2.08
O 0.4412 0.4910 0.8446  1 W 1.96, 1 Mg 2.08
O 0.2615 0.1592 0.9447  1 Mo 1.95, 1 Mg 2.09
O 0.7859 0.1483 0.4453  1 W 1.95, 1 Mg 2.08
O 0.7597 0.1090 0.9556  1 Mo 1.95, 1 Mg 2.09
O 0.5588 0.5090 0.1554  1 W 1.96, 1 Mg 2.08
Sr 0.3006 0.1505 0.4502  7 O 2.60-2.90
Sr 0.8994 0.4495 0.3498  7 O 2.60-2.90
Sr 0.7002 0.3501 0.0496  7 O 2.60-2.90
Sr 0.2998 0.6499 0.9504  7 O 2.60-2.90
Sr 0.5006 0.7505 0.2502  7 O 2.60-2.90
Sr 0.0992 0.0494 0.1492  8 O 2.60-2.90
Sr 0.6994 0.8495 0.5498  7 O 2.60-2.90
Sr 0.1006 0.5505 0.6502  7 O 2.60-2.90
Sr 0.9008 0.9506 0.8508  8 O 2.60-2.90
Sr 0.4994 0.2495 0.7498  7 O 2.60-2.90
W 0.8000 0.4000 0.2001  6 O 1.95-1.96
W 0.2000 0.6000 0.7999  6 O 1.95-1.96
W 0.3999 0.2000 0.6000  6 O 1.95-1.96
W 0.6001 0.8000 0.4000  6 O 1.95-1.96
Mo 0.0000 0.0000 0.0000  6 O 1.95
Mg 0.4001 0.7000 0.1002  6 O 2.08-2.09
Mg 0.0000 0.5000 0.5000  6 O 2.08
Mg 0.2000 0.1000 0.2999  6 O 2.08
Mg 0.8000 0.9000 0.7001  6 O 2.08
Mg 0.5999 0.3000 0.8998  6 O 2.08-2.09

**Energy with MP2020 corrections**: -7.6837 eV/atom
**Energy of formation from the pure elements**: -2.963 eV per atom
**Calculated total energy**: -6.852 eV per atom
**M_tot**: 0.0 μB/cell

Density functional theory data (PBE+U) for Ca12ScCo7O24 after structural relaxation.

Unit cell a=6.3666 b=6.3666 c=12.6791 alpha=87.83 beta=87.83 gamma=91.85
With the nearest neighbours (Å) after each atom.
Element x y z (fractional)
O 0.2189 0.0456 0.1627  1 Co 1.86
O 0.5459 0.9187 0.2649  1 Co 1.86
O 0.2839 0.5840 0.8978  1 Co 1.90
O 0.7913 0.9615 0.5791  2 Co 1.93-2.12
O 0.0804 0.4485 0.2305  1 Co 1.94
O 0.2142 0.0478 0.6693  2 Co 1.94-2.13
O 0.7873 0.9573 0.0808  1 Co 1.93, 1 Sc 2.12
O 0.0385 0.2087 0.4209  2 Co 1.93-2.12
O 0.4605 0.0873 0.4784  2 Co 1.93-2.10
O 0.9117 0.5422 0.0190  1 Co 1.93, 1 Sc 2.12
O 0.7092 0.4050 0.3593  2 Co 1.93-2.01
O 0.4160 0.7161 0.1022  1 Co 1.90
O 0.5879 0.2920 0.1462  1 Co 1.95, 1 Sc 2.11
O 0.9544 0.7811 0.8373  1 Co 1.86
O 0.0813 0.4541 0.7351  1 Co 1.86
O 0.4578 0.0883 0.9810  1 Co 1.93, 1 Sc 2.12
O 0.9522 0.7858 0.3307  2 Co 1.94-2.13
O 0.5950 0.2908 0.6407  2 Co 1.93-2.01
O 0.7080 0.4121 0.8538  1 Co 1.95, 1 Sc 2.11
O 0.4159 0.7118 0.6039  2 Co 1.94-2.07
O 0.9127 0.5395 0.5216  2 Co 1.93-2.10
O 0.0427 0.2127 0.9192  1 Co 1.93, 1 Sc 2.12
O 0.5515 0.9196 0.7695  1 Co 1.94
O 0.2882 0.5841 0.3961  2 Co 1.94-2.07
Sc 0.7489 0.2511 0.0000  6 O 2.11-2.12
Co 0.4987 0.0003 0.1256  6 O 1.86-1.95
Co 0.7446 0.2554 0.5000  6 O 2.01-2.12
Co 0.9997 0.5013 0.8744  6 O 1.86-1.95
Co 0.5031 0.0019 0.6235  6 O 1.93-1.94
Co 0.9981 0.4969 0.3765  6 O 1.93-1.94
Co 0.2503 0.7450 0.2531  6 O 2.07-2.21
Co 0.2550 0.7497 0.7469  6 O 2.07-2.21
Ca 0.3793 0.2446 0.8115  8 O 2.41-2.55
Ca 0.1172 0.8828 0.5000  8 O 2.35-2.60
Ca 0.1227 0.8773 0.0000  8 O 2.41-2.53
Ca 0.7455 0.6201 0.6814  7 O 2.34-2.57
Ca 0.8865 0.1160 0.2574  7 O 2.32-2.58
Ca 0.8840 0.1135 0.7426  7 O 2.32-2.58
Ca 0.3799 0.2545 0.3186  7 O 2.34-2.57
Ca 0.2492 0.3841 0.5643  8 O 2.39-2.60
Ca 0.6159 0.7508 0.4357  8 O 2.39-2.60
Ca 0.7554 0.6207 0.1885  8 O 2.41-2.55
Ca 0.6110 0.7503 0.9291  6 O 2.31-2.49
Ca 0.2497 0.3890 0.0709  6 O 2.31-2.49

**Energy with MP2020 corrections**: -7.0694 eV/atom
**Energy of formation from the pure elements**: -2.549 eV per atom
**Calculated total energy**: -6.434 eV per atom
**M_tot**: 12.0 μB/cell

Density functional theory data (PBE+U) for Li3Mn2P7O21 after structural relaxation.

Unit cell a=6.7911 b=7.1578 c=19.3274 alpha=88.38 beta=99.12 gamma=114.03
With the nearest neighbours (Å) after each atom.
Element x y z (fractional)
P 0.9127 0.5770 0.6002  4 O 1.48-1.64
P 0.0873 0.4230 0.3998  4 O 1.48-1.64
P 0.9558 0.8910 0.2797  4 O 1.49-1.62
P 0.4670 0.4646 0.7514  4 O 1.50-1.64
P 0.5330 0.5354 0.2486  4 O 1.50-1.64
P 0.9787 0.3036 0.9314  4 O 1.49-1.64
P 0.0213 0.6964 0.0686  4 O 1.49-1.64
P 0.2971 0.7286 0.9629  4 O 1.50-1.62
P 0.0442 0.1090 0.7203  4 O 1.49-1.62
P 0.3512 0.8284 0.2682  4 O 1.50-1.61
P 0.8089 0.2271 0.5040  4 O 1.50-1.62
P 0.6488 0.1716 0.7318  4 O 1.50-1.61
P 0.7029 0.2714 0.0371  4 O 1.50-1.62
P 0.1911 0.7729 0.4960  4 O 1.50-1.62
O 0.3087 0.8267 0.8927  1 P 1.51
O 0.4533 0.9131 0.3431  1 P 1.53
O 0.3247 0.4593 0.4004  1 P 1.52
O 0.0212 0.2832 0.4670  2 P 1.61-1.62
O 0.6753 0.5407 0.5996  1 P 1.52
O 0.5709 0.5674 0.1740  1 P 1.50
O 0.9195 0.3401 0.3365  1 P 1.48
O 0.0253 0.1276 0.9085  1 P 1.51
O 0.3398 0.6834 0.5362  1 P 1.51
O 0.2181 0.4853 0.9522  2 P 1.61
O 0.0805 0.6599 0.6635  1 P 1.48
O 0.9747 0.8724 0.0915  1 P 1.51
O 0.9071 0.2279 0.7450  2 P 1.61-1.62
O 0.9788 0.7168 0.5330  2 P 1.61-1.62
O 0.8932 0.0018 0.2184  1 P 1.51
O 0.0869 0.6416 0.4224  2 P 1.62-1.64
O 0.2578 0.2970 0.6999  2 P 1.62-1.64
O 0.9037 0.2462 0.0087  2 P 1.62-1.64
O 0.6605 0.3993 0.7383  2 P 1.61-1.62
O 0.1068 0.9982 0.7816  1 P 1.51
O 0.0963 0.7538 0.9913  2 P 1.62-1.64
O 0.1780 0.6267 0.1124  1 P 1.49
O 0.4827 0.3266 0.2771  1 P 1.50
O 0.4291 0.4326 0.8260  1 P 1.50
O 0.5467 0.0869 0.6569  1 P 1.53
O 0.7819 0.5147 0.0478  2 P 1.61
O 0.0929 0.7721 0.2550  2 P 1.61-1.62
O 0.5410 0.0415 0.7888  1 P 1.50
O 0.6602 0.3166 0.4638  1 P 1.51
O 0.0717 0.0117 0.3466  1 P 1.49
O 0.8220 0.3733 0.8876  1 P 1.49
O 0.6913 0.1733 0.1073  1 P 1.51
O 0.7422 0.7030 0.3001  2 P 1.62-1.64
O 0.7223 0.0026 0.5166  1 P 1.50
O 0.4968 0.2038 0.9844  1 P 1.50
O 0.4590 0.9585 0.2112  1 P 1.50
O 0.5032 0.7962 0.0156  1 P 1.50
O 0.3395 0.6007 0.2617  2 P 1.61-1.62
O 0.2777 0.9974 0.4834  1 P 1.50
O 0.9283 0.9883 0.6534  1 P 1.49
O 0.9131 0.3584 0.5776  2 P 1.62-1.64
O 0.5173 0.6734 0.7229  1 P 1.50
Mn 0.3989 0.1880 0.3838  3 O 2.07-2.24
Mn 0.6011 0.8120 0.6162  3 O 2.07-2.24
Mn 0.6140 0.8508 0.1230  3 O 2.08-2.17
Mn 0.3860 0.1492 0.8770  3 O 2.08-2.17
Li 0.1720 0.1263 0.1283  1 O 1.84
Li 0.4422 0.2396 0.5788  2 O 2.04-2.09
Li 0.5578 0.7604 0.4212  2 O 2.04-2.09
Li 0.7442 0.1979 0.2490  3 O 1.95-2.18
Li 0.8280 0.8737 0.8717  1 O 1.84
Li 0.2558 0.8021 0.7510  3 O 1.95-2.18

**Energy with MP2020 corrections**: -7.5874 eV/atom
**Energy of formation from the pure elements**: -2.562 eV per atom
**Calculated total energy**: -7.049 eV per atom
**M_tot**: 20.0 μB/cell

Density functional theory data (PBE+U) for K4Li5Fe2O8 after structural relaxation.

Unit cell a=5.6036 b=8.9128 c=10.8830 alpha=91.33 beta=98.66 gamma=90.39
With the nearest neighbours (Å) after each atom.
Element x y z (fractional)
Fe 0.3367 0.2178 0.4503  4 O 1.90-1.92
Fe 0.2045 0.7184 0.0587  4 O 1.80-1.91
Fe 0.6734 0.7974 0.5516  4 O 1.87-1.93
Fe 0.8128 0.2703 0.9442  4 O 1.83-1.87
K 0.4216 0.5085 0.6505  5 O 2.70-2.97, 3 Li 2.92-2.93
K 0.3263 0.2595 0.1357  5 O 2.70-2.92
K 0.0952 0.7418 0.3627  4 O 2.73-3.00, 2 Li 2.76-2.98
K 0.7870 0.9641 0.1456  3 O 2.66-2.86
K 0.8841 0.2524 0.6573  4 O 2.69-2.88, 2 Li 2.75
K 0.5617 0.5367 0.3165  2 O 2.48-2.75, 1 Li 2.76
K 0.1734 0.9945 0.8753  3 O 2.61-2.69, 2 Li 2.75-2.85
K 0.6783 0.7282 0.8688  5 O 2.81-2.89, 1 Li 2.93
O 0.6144 0.8369 0.3813  1 Fe 1.87, 2 Li 1.94-2.02
O 0.1134 0.2835 0.8946  1 Fe 1.85, 2 Li 2.00-2.05
O 0.6690 0.0991 0.8671  1 Fe 1.84, 2 Li 1.94-2.03
O 0.9268 0.6824 0.1179  1 Fe 1.80, 1 Li 1.95
O 0.8874 0.9524 0.6253  1 Fe 1.90, 2 Li 1.94-2.02
O 0.8359 0.2980 0.1132  1 Fe 1.83, 1 Li 2.04
O 0.2776 0.9139 0.1134  1 Fe 1.85, 1 Li 2.02
O 0.3876 0.5543 0.0943  1 Fe 1.81, 2 Li 1.94-1.98
O 0.4024 0.8206 0.6376  1 Fe 1.91, 3 Li 1.98-2.08
O 0.6206 0.2081 0.3750  1 Fe 1.90, 2 Li 1.96
O 0.8467 0.6133 0.5879  1 Li 1.77, 1 Fe 1.93
O 0.3755 0.1889 0.6266  1 Fe 1.92, 3 Li 1.97-2.07
O 0.1673 0.3984 0.4051  1 Li 1.76, 1 Fe 1.91
O 0.5940 0.4169 0.8818  1 Fe 1.87, 2 Li 1.97-2.01
O 0.1224 0.0584 0.3810  1 Fe 1.92, 2 Li 1.98
O 0.1809 0.7025 0.8823  1 Fe 1.91, 2 Li 2.07-2.08
Li 0.7206 0.5084 0.0671  4 O 1.95-2.17
Li 0.0998 0.7540 0.6956  4 O 1.99-2.22
Li 0.5925 0.0156 0.6990  4 O 1.94-2.08
Li 0.9143 0.2539 0.3040  3 O 1.96-2.10
Li 0.8014 0.0287 0.4321  3 O 1.96-2.02
Li 0.3785 0.9714 0.2949  3 O 1.94-2.02
Li 0.1970 0.9886 0.5709  4 O 1.94-2.15
Li 0.2749 0.4841 0.9251  4 O 1.94-2.07
Li 0.4039 0.2440 0.8044  4 O 1.97-2.05
Li 0.9537 0.4724 0.4927  2 O 1.76-1.77

**Energy with MP2020 corrections**: -5.4924 eV/atom
**Energy of formation from the pure elements**: -1.781 eV per atom
**Calculated total energy**: -4.966 eV per atom
**M_tot**: 18.0 μB/cell